VASP calculation (GGA+U) on crystalline Li2FeF4 at its relaxed geometry.

Values from the calculation:
Formation energy from the elements in eV/atom: -2.8526

Structure (extended XYZ):
```
28
Lattice="-1.0318 -2.3145 -8.2477 -7.4008 -3.9426 2.0323 -3.2576 5.5256 -1.1431" Properties=species:S:1:pos:R:3 pbc="T T T"
F -8.5850 -1.6269 -1.9671
F -2.4006 -0.0494 -2.6821
F -3.1051 0.8954 -5.3913
F -5.4471 -4.4653 -6.0619
F -6.9664 -4.3923 -1.3792
F -7.6608 -3.4449 -4.1048
F -7.5606 1.1214 -0.8857
F -5.9318 -1.6414 -0.3141
F -4.0294 2.7134 -3.2537
F -7.0893 -1.7125 -6.6434
F -4.1296 -1.8529 -6.4728
F -2.9856 -1.7918 -0.1535
F -4.6009 0.9810 -0.7151
F -9.2896 -0.6820 -4.6764
F -5.7583 0.9099 -7.0444
F -1.4662 -1.8649 -4.8362
Li -7.4022 -0.7131 -0.9210
Li -6.4946 -4.7808 -4.6020
Li -3.7497 1.1508 -2.3198
Li -7.9404 -1.8823 -5.0387
Li -1.9380 -1.4763 -1.6134
Li -5.6353 -3.4406 -0.5724
Li -2.7973 -2.8165 -5.6429
Li -4.2879 -0.0184 -6.4375
Fe -1.3303 0.2241 -4.4096
Fe -6.1436 2.1729 0.1588
Fe -4.5148 -0.5899 0.7304
Fe -2.9591 2.9870 -4.9812
```


VASP calculation (GGA+U) on crystalline CoP2O6 at its relaxed geometry.

Values from the calculation:
Formation energy from the elements in eV/atom: -2.2888

Structure (extended XYZ):
```
36
Lattice="4.1872 5.9655 0.0000 -4.1872 5.9655 0.0000 0.0000 4.8254 8.8701" Properties=species:S:1:pos:R:3 pbc="T T T"
P 2.1905 8.1564 4.2329
P 0.0676 3.7883 2.6990
P -0.0676 6.2010 7.1340
P 2.1905 6.1873 0.2021
P 0.0676 10.5554 1.7361
P -0.0676 12.9681 6.1711
P -2.1905 8.6000 4.6371
P -2.1905 10.5691 8.6680
Co -2.0936 5.3954 4.4350
Co 2.0936 2.9827 0.0000
Co -0.4142 7.1718 2.2175
Co 0.4142 9.5845 6.6526
O 0.6491 3.4763 1.3723
O 1.9934 9.8157 8.1480
O -3.2417 8.1935 5.7958
O 3.2417 5.7808 1.3608
O -0.6601 9.2313 1.5590
O 0.6601 11.6440 5.9941
O 1.0182 7.5038 3.6149
O 1.0182 6.8399 0.8201
O 3.2417 8.5629 3.0743
O -0.6601 5.1123 2.8760
O -1.0182 9.9165 8.0500
O -1.0182 9.2526 5.2552
O 3.0036 7.0212 5.0069
O 3.0036 12.1479 8.2982
O -1.9934 7.4030 3.7130
O 0.6601 7.5250 7.3110
O -3.2417 10.9756 7.5093
O -1.9934 6.9406 0.7221
O 1.9934 9.3533 5.1571
O -0.6491 5.8890 5.8074
O -3.0036 9.7352 3.8632
O -3.0036 4.6085 0.5719
O 0.6491 10.8673 3.0627
O -0.6491 13.2800 7.4977
```


VASP calculation (GGA+U) on crystalline Sr2Pr2MnCuO8 at its relaxed geometry.

Values from the calculation:
Formation energy from the elements in eV/atom: -2.7740

Structure (extended XYZ):
```
14
Lattice="-2.3372 -1.9269 2.3988 -0.2251 -2.8973 -2.5465 9.9972 -5.4735 5.3439" Properties=species:S:1:pos:R:3 pbc="T T T"
O -1.1686 -0.9634 1.1994
O 8.3861 -4.5914 4.4827
O 4.8861 -4.1854 1.3987
O 1.6111 -0.8821 0.8612
O 5.5135 -6.1322 3.5582
O 1.9214 -4.1655 1.6381
O 3.8300 -3.7002 3.8714
O -0.1125 -1.4486 -1.2733
Mn 3.7175 -5.1488 2.5981
Pr 0.1131 -3.1754 0.6714
Pr 7.3218 -7.1223 4.5248
Sr 3.5833 -1.9619 1.9155
Sr 6.4139 -3.5116 3.4285
Cu 0.0000 0.0000 0.0000
```


VASP calculation (GGA+U) on crystalline Eu4Mo4O11 at its relaxed geometry.

Values from the calculation:
Formation energy from the elements in eV/atom: -2.0789

Structure (extended XYZ):
```
76
Lattice="5.8006 0.0000 0.0000 0.0000 11.1551 0.0000 0.0000 0.0000 16.5972" Properties=species:S:1:pos:R:3 pbc="T T T"
Mo 2.9003 4.5283 15.4454
Mo 0.0000 4.6534 15.6166
Mo 0.0000 0.9241 7.3180
Mo 2.9003 6.6268 1.1517
Mo 1.6084 7.1125 15.1380
Mo 1.6084 1.5350 9.7577
Mo 1.6084 9.6202 6.8394
Mo 4.1922 4.0426 1.4591
Mo 4.1922 9.6202 6.8394
Mo 0.0000 10.2310 9.2792
Mo 0.0000 6.5017 0.9806
Mo 4.1922 7.1125 15.1380
Mo 2.9003 1.0493 7.1468
Mo 4.1922 1.5350 9.7577
Mo 1.6084 4.0426 1.4591
Mo 2.9003 10.1058 9.4503
O 1.3849 0.0000 0.0000
O 0.0000 2.4759 8.6853
O 1.3803 9.1240 10.4785
O 2.9003 2.9177 0.2486
O 0.0000 3.1017 0.3867
O 0.0000 0.5238 10.7456
O 4.2912 2.6213 2.7997
O 1.5094 2.6213 2.7997
O 4.4204 9.1240 10.4785
O 0.0000 8.0534 16.2104
O 4.4157 0.0000 0.0000
O 1.4156 6.0204 11.1139
O 1.4156 10.7123 2.8153
O 2.9003 2.6599 8.5471
O 1.5094 8.1988 5.4988
O 4.2912 2.9563 11.0983
O 1.5094 8.5339 13.7974
O 1.3849 5.5776 8.2986
O 4.3850 5.1347 5.4832
O 4.2912 8.1988 5.4988
O 2.9003 5.1324 2.6922
O 1.4156 5.1347 5.4832
O 2.9003 6.0227 13.9050
O 0.0000 5.0537 2.4470
O 4.3850 0.4428 13.7818
O 0.0000 8.6793 7.9119
O 2.9003 8.2375 16.3486
O 1.3803 2.0311 6.1187
O 1.5094 2.9563 11.0983
O 2.9003 8.4952 8.0500
O 1.4156 0.4428 13.7818
O 0.0000 10.6313 5.8516
O 4.2912 8.5339 13.7974
O 0.0000 6.1014 14.1502
O 1.3803 7.6086 2.1799
O 1.3803 3.5465 14.4173
O 4.4204 3.5465 14.4173
O 4.3850 10.7123 2.8153
O 4.4157 5.5776 8.2986
O 2.9003 0.4451 10.9908
O 4.3850 6.0204 11.1139
O 4.4204 2.0311 6.1187
O 2.9003 10.7100 5.6064
O 4.4204 7.6086 2.1799
Eu 0.0000 1.0439 3.9413
Eu 0.0000 6.6215 4.3573
Eu 2.9003 0.8697 1.5924
Eu 2.9003 7.5931 11.9527
Eu 2.9003 6.4472 6.7062
Eu 0.0000 10.1112 12.6559
Eu 0.0000 9.8567 1.2588
Eu 2.9003 2.0155 12.9430
Eu 0.0000 4.2792 7.0398
Eu 0.0000 4.5337 12.2399
Eu 0.0000 1.2984 15.3383
Eu 0.0000 6.8760 9.5574
Eu 2.9003 3.5620 4.6445
Eu 2.9003 9.1396 3.6541
Eu 2.9003 4.7079 9.8910
Eu 2.9003 10.2855 15.0048
```


VASP calculation (GGA+U) on crystalline Rb5Mo3O3F14 at its relaxed geometry.

Values from the calculation:
Formation energy from the elements in eV/atom: -2.8257

Structure (extended XYZ):
```
150
Lattice="0.0000 0.0000 -8.3148 -10.4045 -18.0212 0.0000 -10.4044 18.0212 0.0000" Properties=species:S:1:pos:R:3 pbc="T T T"
Mo -10.4044 -1.3253 -6.5654
Mo -14.4329 -3.6812 -2.5593
Mo -6.3760 3.6811 -5.7555
Mo -6.3500 8.3479 -1.7493
Mo -16.4900 -2.4937 -6.2250
Mo -14.4589 -8.3479 -6.5655
Mo -10.4045 1.3253 -1.7494
Mo -10.4043 -13.0341 -6.2251
Mo -4.3190 -2.4934 -6.2250
Mo -14.4330 3.6811 -5.7554
Mo -6.3759 -3.6811 -2.5593
Mo -6.3499 -8.3479 -6.5655
Mo -4.3189 2.4937 -2.0897
Mo -10.4044 -10.6588 -2.5593
Mo -10.4045 10.6588 -5.7555
Mo -10.4046 13.0340 -2.0897
Mo -14.4589 8.3479 -1.7493
Mo -16.4899 2.4934 -2.0898
F -5.1411 2.9680 -4.0978
F -5.8878 10.1979 -5.9807
F -14.3533 5.3360 -4.6584
F -5.2022 -9.0106 0.0000
F -14.5964 1.9660 -1.8011
F -4.8091 4.3971 -1.8011
F -5.1409 -2.9682 -4.2170
F -10.4052 6.0067 -1.0364
F -16.7718 -0.7425 -5.3348
F -13.0183 9.0876 -0.5889
F -11.7977 -9.7624 -3.6564
F -5.2022 9.0106 0.0000
F -9.0437 2.2031 -0.5889
F -14.3790 -6.7305 -7.7259
F -10.4043 12.0848 -4.0978
F -9.0335 -0.0002 -2.3341
F -7.7906 9.0875 -0.5888
F -4.0371 0.7425 -2.9800
F -9.0008 11.9375 -6.3911
F -16.2920 7.8232 -5.9806
F -9.0111 9.7624 -4.6584
F -6.4556 5.3359 -4.6583
F -9.0007 -11.9375 -1.9238
F -18.1472 -3.1252 -5.3344
F -9.0289 -14.1535 -5.3344
F -9.0013 11.6579 -1.8008
F -11.8076 -11.6579 -6.5140
F -18.1472 3.1250 -2.9800
F -5.8879 -10.1979 -2.3341
F -2.6617 3.1252 -2.9804
F -6.2124 -1.9660 -6.5137
F -9.0436 -2.2030 -7.7259
F -6.4299 6.7305 -0.5889
F -16.7717 0.7424 -2.9803
F -11.7754 0.0002 -5.9806
F -13.0183 -9.0875 -7.7259
F -4.8092 -4.3967 -6.5140
F -15.6678 -2.9680 -4.2169
F -10.4037 -6.0067 -7.2784
F -4.5667 -4.2575 -1.9237
F -16.2921 -7.8233 -2.3340
F -14.3533 -5.3359 -3.6565
F -14.5965 -1.9665 -6.5139
F -2.6616 -3.1250 -5.3348
F -4.5668 4.2575 -6.3910
F -10.4045 0.0000 0.0000
F -6.4556 -5.3360 -3.6564
F -14.9210 10.1979 -5.9807
F -9.0010 -11.6579 -6.5137
F -16.2421 -4.2575 -1.9238
F -9.0111 -9.7625 -3.6564
F -11.8082 11.9375 -6.3910
F -11.8081 -11.9375 -1.9237
F -6.2124 1.9665 -1.8009
F 0.0000 0.0000 0.0000
F -14.9211 -10.1979 -2.3341
F -10.4046 -12.0848 -4.2170
F -7.8489 -2.9227 -3.6564
F -11.8079 11.6578 -1.8011
F -7.8489 2.9227 -4.6584
F -9.0334 0.0002 -5.9807
F -12.9600 2.9227 -4.6583
F -7.7905 -9.0876 -7.7259
F -15.9997 4.3967 -1.8008
F -4.5169 -7.8233 -2.3341
F -11.7978 9.7624 -4.6583
F -15.6680 2.9682 -4.0978
F -11.7653 2.2030 -0.5888
F -16.2421 4.2575 -6.3910
F -4.0372 -0.7424 -5.3344
F -11.7800 14.1535 -2.9804
F -9.0288 14.1535 -2.9799
F -4.5168 7.8233 -5.9807
F -5.9706 1.8262 -6.3912
F -14.8384 1.8261 -6.3910
F -6.4298 -6.7306 -7.7259
F -5.9705 -1.8261 -1.9237
F -14.3791 6.7305 -0.5888
F -14.8383 -1.8262 -1.9236
F -15.9998 -4.3971 -6.5136
F -12.9599 -2.9227 -3.6564
F -11.7755 -0.0002 -2.3341
F -11.7800 -14.1536 -5.3348
F -11.7652 -2.2031 -7.7259
Rb -3.5687 -6.1811 0.0000
Rb -14.0466 0.0000 -4.1573
Rb -10.4045 2.6643 -6.2351
Rb -7.5093 7.6786 -6.2350
Rb -10.4044 -2.6643 -2.0797
Rb -13.7855 -12.1649 -4.1574
Rb -17.9318 1.6612 -6.1221
Rb -10.4045 -14.6992 -2.1927
Rb -2.8771 1.6611 -6.1221
Rb -10.4043 -8.7202 -6.6098
Rb -17.2402 -6.1811 -8.3147
Rb -12.7539 4.6506 -1.7047
Rb -17.2401 6.1811 -8.3148
Rb -7.5096 -7.6784 -2.0796
Rb -2.8771 -1.6612 -2.1927
Rb -10.4044 14.6992 -6.1221
Rb -13.2996 -7.6786 -2.0798
Rb -3.5687 6.1811 0.0000
Rb -17.4276 5.8562 -4.1573
Rb -3.3813 -5.8563 -4.1575
Rb -7.0234 12.1649 -4.1574
Rb -7.1373 0.0000 0.0000
Rb -13.6715 0.0000 -8.3147
Rb -6.7623 0.0000 -4.1574
Rb -13.2993 7.6784 -6.2352
Rb -8.0550 4.6504 -1.7049
Rb -8.0549 -4.6506 -6.6101
Rb -17.9318 -1.6611 -2.1927
Rb -10.4046 8.7201 -1.7049
Rb -12.7538 -4.6504 -6.6099
O -7.3064 -7.7958 -5.2546
O -7.3376 -4.2363 -1.2460
O -17.1397 -2.1189 -7.7704
O -7.3065 7.7957 -3.0602
O -7.3376 4.2365 -7.0687
O -13.4713 4.2363 -7.0688
O -10.4042 -13.7841 -7.7704
O -17.1395 2.1182 -0.5444
O -10.4045 2.4297 -3.0602
O -13.5025 7.7957 -3.0602
O -10.4044 -2.4297 -5.2546
O -10.4044 -9.5484 -1.2460
O -13.4713 -4.2365 -1.2460
O -10.4044 9.5484 -7.0687
O -3.6694 -2.1182 -7.7704
O -13.5024 -7.7957 -5.2546
O -3.6692 2.1188 -0.5444
O -10.4047 13.7841 -0.5444
```


VASP calculation (GGA+U) on crystalline BaCaMoF7 at its relaxed geometry.

Values from the calculation:
Formation energy from the elements in eV/atom: -3.5982

Structure (extended XYZ):
```
40
Lattice="10.6744 0.0000 0.0000 0.0000 5.9327 0.0000 0.0000 0.2418 10.2564" Properties=species:S:1:pos:R:3 pbc="T T T"
Ba 3.5892 4.4612 5.1387
Ba 8.9264 1.8342 10.2460
Ba 7.0852 1.7133 5.1178
Ba 1.7480 4.3403 0.0104
F 4.9490 0.5125 3.7340
F 2.3275 0.1268 2.6060
F 7.5394 4.4569 10.1302
F 4.8717 4.0831 8.9778
F 2.2021 1.8385 5.2545
F 0.4211 2.4794 1.2515
F 9.8528 0.7982 4.0400
F 5.7255 5.6620 6.5225
F 8.3469 6.0477 7.6505
F 0.4655 3.9622 3.8495
F 0.8217 5.3763 6.2165
F 2.2223 3.0343 7.8694
F 8.4521 3.1402 2.3870
F 7.6648 5.9269 2.5222
F 8.4723 4.3360 5.0020
F 7.5595 3.2611 7.5152
F 6.1589 0.9191 9.1682
F 10.2862 5.5411 1.3942
F 4.5156 5.2554 1.0883
F 4.9161 2.6002 6.3797
F 0.3882 0.6334 8.8622
F 10.2089 2.2123 6.4069
F 5.7583 3.5743 3.8767
F 5.8027 2.0914 1.2787
F 3.1351 1.7176 0.1262
F 3.0097 0.2476 7.7342
F 3.1149 2.9134 2.7412
F 10.2533 3.6952 9.0049
Ca 0.9948 1.8723 3.2827
Ca 6.3320 4.1814 1.8455
Ca 4.3424 1.9931 8.4109
Ca 9.6796 4.3022 6.9737
Mo 1.2895 1.2843 7.0862
Mo 4.0477 1.1634 1.9580
Mo 9.3849 4.8902 3.1703
Mo 6.6268 5.0111 8.2985
```